(1)
Material: Ni2H
Method: DFT, PBE-GGA
State: optimized geometry

The structure in extended XYZ format:
```
3
Lattice="4.2462 -1.2757 0.0000 4.2462 1.2757 0.0000 3.8630 0.0000 2.1760" Properties=species:S:1:pos:R:3 pbc="T T T"
H 6.1777 0.0000 1.0880
Ni 3.1219 0.0000 0.5498
Ni 9.2335 0.0000 1.6262
```

Calculated values
* calculated total energy: -4.99 eV/atom
* ΔH_f (0 K): -0.0617 eV/atom
* total energy after the MP2020 corrections: -5.046 eV per atom



(2)
Material: Sm3GaCo3
Method: DFT, PBE-GGA
State: optimized geometry

The structure in extended XYZ format:
```
14
Lattice="2.0786 -5.0691 0.0000 2.0786 5.0691 0.0000 0.0000 0.0000 13.1050" Properties=species:S:1:pos:R:3 pbc="T T T"
Co 2.0786 4.2133 1.2605
Co 2.0786 3.0296 3.2763
Co 2.0786 -3.0296 9.8288
Co 2.0786 4.2133 5.2921
Co 2.0786 -4.2133 7.8130
Co 2.0786 -4.2133 11.8446
Sm 2.0786 0.0411 9.8288
Sm 2.0786 -0.0411 3.2763
Sm 2.0786 -2.9809 5.2125
Sm 2.0786 2.9809 11.7650
Sm 2.0786 2.9809 7.8925
Sm 2.0786 -2.9809 1.3400
Ga 2.0786 0.0000 6.5525
Ga 2.0786 0.0000 0.0000
```

Calculated values
* calculated total energy: -5.77 eV/atom
* ΔH_f (0 K): -0.2672 eV/atom



(3)
Material: NaPO4
Method: DFT, PBE-GGA
State: optimized geometry

The structure in extended XYZ format:
```
72
Lattice="5.3164 -9.7254 0.0000 5.3164 9.7254 0.0000 0.0000 0.0000 10.3577" Properties=species:S:1:pos:R:3 pbc="T T T"
O 7.1771 -1.5887 6.9213
O 1.8433 1.6853 5.4821
O 3.4556 1.5887 3.4364
O 7.1597 1.6853 10.0544
O 6.4251 2.4247 4.5936
O 4.7501 -5.4852 1.1595
O 8.7894 -1.6853 4.8756
O 7.5374 4.8627 2.5894
O 8.7720 1.5887 1.7425
O 5.8826 5.4852 9.1982
O 4.7076 -7.9899 6.7428
O 4.2076 7.3007 9.7725
O 4.2076 -2.4247 5.7641
O 4.7501 5.4852 1.1595
O 9.0640 0.0000 10.0973
O 5.8826 -5.4852 9.1982
O 4.7501 4.2402 4.0193
O 5.9251 -7.9899 3.6149
O 6.4251 7.3007 0.5852
O 5.9251 1.7355 1.5639
O 5.9251 -1.7355 1.5639
O 1.5687 0.0000 0.2605
O 7.5374 -4.8627 2.5894
O 1.8607 1.5887 8.6152
O 8.7894 1.6853 4.8756
O 4.7076 -1.7355 8.7938
O 3.4556 -1.5887 3.4364
O 5.8826 4.2402 6.3384
O 4.7501 -4.2402 4.0193
O 3.4730 1.6853 0.3033
O 6.4251 -2.4247 4.5936
O 1.8433 -1.6853 5.4821
O 3.4730 -1.6853 0.3033
O 6.8850 0.0000 4.9184
O 3.7477 0.0000 5.4393
O 1.8607 -1.5887 8.6152
O 7.1597 -1.6853 10.0544
O 7.1771 1.5887 6.9213
O 6.4251 -7.3007 0.5852
O 5.9251 7.9899 3.6149
O 4.7076 7.9899 6.7428
O 8.7720 -1.5887 1.7425
O 4.2076 -7.3007 9.7725
O 4.7076 1.7355 8.7938
O 3.0953 -4.8627 7.7683
O 4.2076 2.4247 5.7641
O 5.8826 -4.2402 6.3384
O 3.0953 4.8627 7.7683
P 2.0848 1.4591 10.0843
P 5.3164 -6.2452 0.0000
P 3.2316 -1.4591 4.9054
P 7.4011 1.4591 5.4523
P 5.3164 3.4801 5.1789
P 8.5480 1.4591 0.2735
P 5.3164 6.2452 0.0000
P 8.5480 -1.4591 0.2735
P 7.4011 -1.4591 5.4523
P 2.0848 -1.4591 10.0843
P 3.2316 1.4591 4.9054
P 5.3164 -3.4801 5.1789
Na 6.5344 -3.3512 8.4757
Na 6.5344 3.3512 8.4757
Na 6.5344 -6.3741 7.0609
Na 9.4490 0.0000 3.2916
Na 4.0983 6.3741 3.2968
Na 6.5001 0.0000 8.4704
Na 4.0983 3.3512 1.8820
Na 4.1326 0.0000 1.8873
Na 4.0983 -6.3741 3.2968
Na 6.5344 6.3741 7.0609
Na 4.0983 -3.3512 1.8820
Na 1.1837 0.0000 7.0661
```

Calculated values
* calculated total energy: -5.78 eV/atom
* polymorph energy (0 for the lowest one): 156.7 meV/atom
* ΔH_f (0 K): -1.8192 eV/atom
* total energy after the MP2020 corrections: -6.240 eV per atom



(4)
Material: Na5Hf2Nb2Si5PO24
Method: DFT, PBE-GGA
State: optimized geometry

The structure in extended XYZ format:
```
117
Lattice="-4.2994 6.7576 4.2582 -0.8764 -8.5136 2.9747 18.1005 2.9233 13.5751" Properties=species:S:1:pos:R:3 pbc="T T T"
Na 11.8803 3.5661 18.6020
Na 1.7673 5.0269 6.1362
Na 2.6195 0.1152 6.0091
Na 6.8141 -2.0303 13.5701
Na 11.9175 4.0729 15.0711
Na 8.9612 5.8399 15.4995
Na 9.9768 -1.4056 12.4501
Na 13.5570 7.1193 15.5353
Na 8.9096 1.4322 6.7426
Na 9.7435 -4.0309 10.1041
Na 14.9737 2.3653 14.7789
Na 0.9304 -2.9203 5.5752
Na 0.0832 0.0266 0.1061
Na 2.9060 2.6533 8.3861
Na -0.3273 2.0588 9.4993
Si 7.1480 0.9146 12.5877
Si 0.8460 -0.5240 8.5308
Si 6.8217 -4.1874 7.8447
Si 6.1728 5.3277 12.9868
Si 3.2987 2.6894 4.6466
Si 16.0650 -0.2357 13.7301
Si -0.0170 5.0340 8.5174
Si 8.6629 2.8985 16.5327
Si 4.0443 -2.7096 11.2049
Si 9.6461 -1.5230 16.1542
Si -3.1657 1.3715 7.1015
Si -0.3713 -0.0838 3.7037
Si 14.3299 -3.2222 16.7235
Si 8.8722 3.8458 9.6524
Si 12.0631 1.6990 12.3132
O 9.2862 4.0675 11.2363
O 3.5972 -2.8680 9.5872
O 12.2890 1.0396 18.2030
O 14.3427 4.8507 15.0742
O -1.6319 1.9250 7.1722
O 11.0902 2.7641 13.0586
O 0.5418 3.6821 7.7908
O 4.6273 1.9455 5.1509
O -0.6760 -1.1726 8.5285
O 16.2524 1.2164 12.9839
O 1.0110 0.9178 7.7675
O 12.6687 5.3921 17.2033
O 7.5934 4.6524 13.4773
O 6.7640 -0.4800 9.1030
O 11.6910 -4.8598 11.9735
O 9.4447 -1.6612 9.9580
O -0.5540 -1.6477 4.0861
O -2.6120 3.4820 3.7823
O 9.8778 2.7940 8.8778
O 7.3749 -3.4206 9.1666
O -3.2589 -0.1211 7.7967
O 9.3942 3.4532 15.1774
O 5.3668 -3.4690 7.3721
O 10.7316 -1.3151 14.9452
O 5.5839 -2.1878 11.2731
O 16.4278 0.0293 15.2853
O 0.7193 0.1204 2.4803
O 8.3806 1.9570 12.9282
O 14.6245 0.5244 17.5585
O 1.2497 -0.2425 10.0685
O 12.3589 -2.4954 13.0120
O -0.3690 3.7001 5.0017
O 6.6197 -5.7473 8.1875
O -1.9889 5.6579 4.8372
O 13.5895 2.2539 12.4245
O 4.5492 -0.6850 7.8721
O 6.0588 1.7758 11.7159
O 3.4870 -2.1506 5.6570
O 4.7930 4.2828 8.8709
O 13.4867 2.7036 16.7157
O 6.4101 6.9124 12.5801
O 9.7853 2.1938 17.4630
O 14.4933 -0.8038 13.6981
O -1.5680 -3.6685 5.7843
O -3.6783 1.1787 5.5407
O 5.7373 4.5949 11.5724
O -1.7930 0.5820 3.1683
O 15.5610 -2.2147 16.9601
O 6.4943 0.6904 6.9240
O 12.8613 0.4969 15.7346
O 11.7073 1.4769 10.7091
O 6.3769 0.5140 14.0028
O 8.2167 -0.8381 15.7002
O 11.9695 0.1940 12.9768
O 11.0399 7.6408 14.5842
O 10.2842 5.4082 13.5372
O 3.5664 2.8043 10.8420
O 0.2124 -4.3167 3.6496
O 2.6228 -4.2109 7.2410
O 13.2441 -2.3645 15.7720
O 1.2565 5.9851 8.7567
O 3.1728 -0.8769 3.3717
O 14.9351 -4.5409 15.9620
O 3.0968 -1.6671 11.9870
O 8.1870 -3.1982 11.9402
O 5.1724 1.5011 8.9459
O 1.8255 -1.6250 7.7569
O 7.7633 -0.4433 11.9607
O 2.1853 2.5982 5.8328
O 0.1833 0.6805 5.0361
O 1.9672 -6.5269 6.1828
O 7.3392 3.2823 9.6561
Nb 1.7439 -8.0560 4.9738
Nb 12.6417 -1.1155 14.4122
Nb 11.6773 1.8828 8.7893
Nb 5.4768 3.0908 10.3171
Nb 9.2976 3.6440 13.1338
Nb 3.6968 -2.5350 7.6810
Hf 15.3710 2.4936 11.5636
Hf 0.1602 2.1829 6.3404
Hf 14.6583 4.5377 17.1863
Hf 7.3914 -1.8776 10.4489
Hf 1.2681 -0.7126 12.0282
Hf -1.5561 -3.3677 3.6732
P -1.3983 4.4316 4.1059
P 5.7689 0.2759 8.2061
P 13.3323 1.1881 17.0579
```

Calculated values
* calculated total energy: -7.76 eV/atom
* ΔH_f (0 K): -3.1038 eV/atom
* total energy after the MP2020 corrections: -8.181 eV per atom